A relaxed Ba3Ti4Sb4O21 crystal, computed with PBE-GGA.

Results
Energy with MP2020 corrections ... -7.78 eV per atom
DFT formation energy ... -2850.0 meV/atom
Size of the total moment ... 0.00 μB/f.u.

Lattice parameters (Å, degrees): 9.097 9.097 12.055 90.26 90.26 60.09
Fractional coordinates of all 64 atoms:
1 Ba 0.091 0.909 0.750
2 Ba 0.094 0.500 0.249
3 Ba 0.500 0.094 0.749
4 Ba 0.500 0.906 0.251
5 Ba 0.906 0.500 0.751
6 Ba 0.909 0.091 0.250
7 Ti 0.248 0.503 0.901
8 Ti 0.248 0.747 0.098
9 Ti 0.253 0.752 0.402
10 Ti 0.497 0.752 0.599
11 Ti 0.503 0.248 0.401
12 Ti 0.747 0.248 0.598
13 Ti 0.752 0.253 0.902
14 Ti 0.752 0.497 0.099
15 Sb 0.166 0.168 0.500
16 Sb 0.168 0.166 0.000
17 Sb 0.262 0.500 0.586
18 Sb 0.500 0.262 0.086
19 Sb 0.500 0.738 0.914
20 Sb 0.738 0.500 0.414
21 Sb 0.832 0.834 0.000
22 Sb 0.834 0.832 0.500
23 O 0.013 0.669 0.606
24 O 0.016 0.671 0.900
25 O 0.017 0.813 0.101
26 O 0.019 0.813 0.402
27 O 0.182 0.332 0.606
28 O 0.186 0.332 0.902
29 O 0.187 0.981 0.098
30 O 0.187 0.983 0.399
31 O 0.283 0.499 0.750
32 O 0.283 0.717 0.250
33 O 0.297 0.703 0.574
34 O 0.297 0.703 0.926
35 O 0.298 0.499 0.074
36 O 0.300 0.500 0.422
37 O 0.329 0.984 0.600
38 O 0.331 0.987 0.894
39 O 0.332 0.182 0.106
40 O 0.332 0.186 0.402
41 O 0.499 0.283 0.250
42 O 0.499 0.298 0.574
43 O 0.500 0.300 0.922
44 O 0.500 0.700 0.078
45 O 0.501 0.702 0.426
46 O 0.501 0.717 0.750
47 O 0.668 0.814 0.598
48 O 0.668 0.818 0.894
49 O 0.669 0.013 0.106
50 O 0.671 0.016 0.400
51 O 0.700 0.500 0.578
52 O 0.702 0.501 0.926
53 O 0.703 0.297 0.074
54 O 0.703 0.297 0.426
55 O 0.717 0.283 0.750
56 O 0.717 0.501 0.250
57 O 0.813 0.017 0.601
58 O 0.813 0.019 0.902
59 O 0.814 0.668 0.098
60 O 0.818 0.668 0.394
61 O 0.981 0.187 0.598
62 O 0.983 0.187 0.899
63 O 0.984 0.329 0.100
64 O 0.987 0.331 0.394